Entry 1:
Here is crystalline Tm2Pb2O7 at its relaxed geometry from Materials Project. Energies are from PBE-GGA.

Unit cell a=7.556 b=7.556 c=7.556 alpha=60.00 beta=60.00 gamma=60.00
Sites, in units of the cell vectors:
Tm 0.625 0.625 0.125
Tm 0.625 0.625 0.625
Tm 0.625 0.125 0.625
Tm 0.125 0.625 0.625
Pb 0.125 0.125 0.125
Pb 0.625 0.125 0.125
Pb 0.125 0.625 0.125
Pb 0.125 0.125 0.625
O 0.022 0.478 0.478
O 0.772 0.772 0.228
O 0.772 0.228 0.228
O 0.478 0.022 0.478
O 0.022 0.022 0.478
O 0.022 0.478 0.022
O 0.750 0.750 0.750
O 0.500 0.500 0.500
O 0.772 0.228 0.772
O 0.228 0.772 0.228
O 0.228 0.228 0.772
O 0.478 0.022 0.022
O 0.478 0.478 0.022
O 0.228 0.772 0.772

Calculated values
The formation energy comes out at -2.55 eV/atom. The MP2020-corrected energy is -7.186 eV/atom. As for the final energy: -6.75 eV per atom.

Entry 2:
Here is crystalline U11Pb3O36 at its relaxed geometry from Materials Project. Energies are from PBE-GGA.

Unit cell a=6.829 b=8.475 c=28.680 alpha=90.00 beta=90.00 gamma=90.00
Sites, in units of the cell vectors:
U 0.321 0.000 0.000
U 0.679 0.500 0.500
U 0.248 0.000 0.866
U 0.248 0.000 0.134
U 0.752 0.500 0.634
U 0.752 0.500 0.366
U 0.772 0.000 0.787
U 0.772 0.000 0.213
U 0.228 0.500 0.713
U 0.228 0.500 0.287
U 0.779 0.000 0.928
U 0.779 0.000 0.072
U 0.221 0.500 0.572
U 0.221 0.500 0.428
U 0.223 0.000 0.573
U 0.223 0.000 0.427
U 0.777 0.500 0.927
U 0.777 0.500 0.073
U 0.227 0.000 0.719
U 0.227 0.000 0.281
U 0.773 0.500 0.781
U 0.773 0.500 0.219
Pb 0.763 0.000 0.500
Pb 0.237 0.500 0.000
Pb 0.692 0.000 0.646
Pb 0.692 0.000 0.354
Pb 0.308 0.500 0.854
Pb 0.308 0.500 0.146
O 0.322 0.782 0.000
O 0.322 0.218 0.000
O 0.678 0.718 0.500
O 0.678 0.282 0.500
O 0.244 0.781 0.865
O 0.244 0.781 0.135
O 0.244 0.219 0.865
O 0.244 0.219 0.135
O 0.756 0.719 0.635
O 0.756 0.719 0.365
O 0.756 0.281 0.635
O 0.756 0.281 0.365
O 0.222 0.728 0.717
O 0.222 0.728 0.283
O 0.222 0.272 0.717
O 0.222 0.272 0.283
O 0.778 0.772 0.783
O 0.778 0.772 0.217
O 0.778 0.228 0.783
O 0.778 0.228 0.217
O 0.222 0.735 0.572
O 0.222 0.735 0.428
O 0.222 0.265 0.572
O 0.222 0.265 0.428
O 0.778 0.765 0.928
O 0.778 0.765 0.072
O 0.778 0.235 0.928
O 0.778 0.235 0.072
O 0.083 0.000 0.943
O 0.083 0.000 0.057
O 0.917 0.500 0.557
O 0.917 0.500 0.443
O 0.141 0.000 0.787
O 0.141 0.000 0.213
O 0.859 0.500 0.713
O 0.859 0.500 0.287
O 0.284 0.000 0.650
O 0.284 0.000 0.350
O 0.716 0.500 0.850
O 0.716 0.500 0.150
O 0.152 0.000 0.500
O 0.848 0.500 0.000
O 0.690 0.000 0.000
O 0.310 0.500 0.500
O 0.907 0.000 0.859
O 0.907 0.000 0.141
O 0.093 0.500 0.641
O 0.093 0.500 0.359
O 0.938 0.000 0.711
O 0.938 0.000 0.289
O 0.062 0.500 0.789
O 0.062 0.500 0.211
O 0.949 0.000 0.584
O 0.949 0.000 0.416
O 0.051 0.500 0.916
O 0.051 0.500 0.084
O 0.465 0.000 0.926
O 0.465 0.000 0.074
O 0.535 0.500 0.574
O 0.535 0.500 0.426
O 0.531 0.000 0.828
O 0.531 0.000 0.172
O 0.469 0.500 0.672
O 0.469 0.500 0.328
O 0.516 0.000 0.731
O 0.516 0.000 0.269
O 0.484 0.500 0.769
O 0.484 0.500 0.231
O 0.499 0.000 0.564
O 0.499 0.000 0.436
O 0.501 0.500 0.936
O 0.501 0.500 0.064

Calculated values
The formation energy comes out at -3.40 eV/atom. The MP2020-corrected energy is -9.664 eV/atom. As for the final energy: -9.17 eV per atom.

- Which formula does entry 2 have?
  U11Pb3O36